Entry from Materials Project: a relaxed structure of Li2MnV2P3O12 (GGA+U).

The structure in extended XYZ format:
```
40
Lattice="7.386 -4.473 0.000 7.386 4.473 0.000 -4.530 0.000 7.259" Properties=species:S:1:pos:R:3 pbc="T T T"
Li 0.000 0.000 0.000
Li 3.961 1.707 0.706
Li 6.281 1.707 6.553
Li 5.121 -1.842 3.629
Mn 2.559 -1.007 1.908
Mn 7.683 -1.007 5.351
V 3.097 3.496 4.388
V 7.145 3.496 2.871
V 5.441 -0.960 0.746
V 4.802 -0.960 6.513
P -1.485 0.337 5.806
P 7.386 1.784 0.000
P 5.121 0.892 3.629
P 1.969 -2.339 5.016
P 11.727 0.337 1.452
P 8.273 -2.339 2.243
O -2.973 -0.034 5.685
O 1.004 0.556 2.304
O 2.291 2.777 6.158
O -0.701 -0.187 4.613
O 3.983 1.751 4.170
O -1.023 -0.240 7.193
O 7.952 2.777 1.101
O 6.161 0.984 0.431
O 6.259 1.751 3.088
O 4.505 -0.070 2.544
O 1.509 -1.761 3.633
O 4.081 0.984 6.828
O 1.024 -1.961 6.161
O 5.738 -0.070 4.715
O 4.083 -2.585 1.367
O 3.430 -1.899 5.176
O 6.812 -1.899 2.083
O 9.239 0.556 4.954
O 11.266 -0.240 0.065
O 10.943 -0.187 2.645
O 9.219 -1.961 1.098
O 8.734 -1.761 3.625
O 6.160 -2.585 5.891
O 13.216 -0.034 1.574
```

The space group is C2 (5). The calculation puts the calculated volume at 11.99 A^3/atom. The value obtained for the electronic total energy is -7.2700 eV per atom. The energy of formation from the pure elements is -51.95 eV per formula unit.

Entry from Materials Project: a relaxed structure of Ca4Si6W5O17 (GGA+U).

The structure in extended XYZ format:
```
32
Lattice="3.402 -11.626 0.000 3.402 11.626 0.000 -2.608 0.000 6.267" Properties=species:S:1:pos:R:3 pbc="T T T"
Ca 3.402 6.928 0.000
Ca 2.089 5.016 3.171
Ca 2.089 -5.016 3.171
Ca 3.402 -6.928 0.000
Si -0.950 1.586 5.152
Si 1.910 8.002 2.867
Si -0.950 -1.586 5.152
Si 3.552 3.738 0.255
Si 3.552 -3.738 0.255
Si 1.910 -8.002 2.867
W 0.348 0.000 1.542
W 1.821 1.759 3.399
W 1.821 -1.759 3.399
W 3.886 0.000 1.941
W 3.156 0.000 5.259
O 0.977 7.053 3.821
O 1.061 9.897 5.995
O 2.317 9.410 3.636
O 2.343 4.693 0.785
O -0.537 0.000 4.993
O 0.341 2.362 5.808
O 3.226 7.148 2.421
O 1.900 4.575 5.504
O 0.341 -2.362 5.808
O 2.343 -4.693 0.785
O 4.498 3.166 1.498
O 0.977 -7.053 3.821
O 1.900 -4.575 5.504
O 4.498 -3.166 1.498
O 3.226 -7.148 2.421
O 1.061 -9.897 5.995
O 2.317 -9.410 3.636
```

The space group is Cm (8). The calculation puts the calculated volume at 15.49 A^3/atom. The value obtained for the electronic total energy is -6.8819 eV per atom. The energy of formation from the pure elements is -64.61 eV per formula unit.

Entry from Materials Project: a relaxed structure of Li3Mn2CoO6 (GGA+U).

The structure in extended XYZ format:
```
12
Lattice="2.677 -1.438 0.000 2.677 1.438 0.000 -0.909 0.000 14.668" Properties=species:S:1:pos:R:3 pbc="T T T"
Li 0.000 0.000 0.000
Li 1.190 0.000 9.733
Li 3.254 0.000 4.935
Mn 1.626 0.000 2.453
Mn 2.819 0.000 12.215
Co -0.455 0.000 7.334
O -0.579 0.000 11.086
O 0.846 0.000 13.351
O 1.355 0.000 6.220
O 3.089 0.000 8.447
O 3.599 0.000 1.316
O 5.024 0.000 3.581
```

The space group is C2/m (12). Its relative energy among the computed polymorphs is 49 kJ/mol of formula units. The calculation puts the calculated volume at 9.41 A^3/atom. The value obtained for the electronic total energy is -6.2739 eV per atom. The energy of formation from the pure elements is -23.54 eV per formula unit.

Entry from Materials Project: a relaxed structure of V2ZnP3NO15 (GGA+U).

The structure in extended XYZ format:
```
88
Lattice="11.011 0.000 0.000 0.000 9.127 0.000 -7.446 0.000 12.923" Properties=species:S:1:pos:R:3 pbc="T T T"
V 0.203 2.240 0.492
V -1.343 2.255 3.166
V -5.066 2.308 9.627
V -3.520 2.324 6.953
V 7.086 6.803 5.969
V 8.631 6.819 3.295
V 4.908 6.872 9.756
V 3.363 6.887 12.430
Zn 4.287 6.843 0.248
Zn 0.564 6.848 6.709
Zn 3.002 2.279 6.214
Zn -0.721 2.284 12.675
P -5.342 4.571 12.025
P -1.619 9.119 5.564
P -5.236 0.028 11.990
P -1.514 4.536 5.528
P 2.002 1.477 3.318
P -1.720 3.087 9.779
P 5.286 6.040 3.144
P 1.563 7.650 9.605
P 5.079 4.591 7.394
P 8.802 9.099 0.933
P 5.185 0.008 7.358
P 8.908 4.556 0.897
N 1.515 5.097 2.982
N -2.208 8.594 9.443
N 5.773 0.533 3.480
N 2.050 4.030 9.941
O -6.399 5.574 11.381
O -2.676 8.117 4.919
O -2.592 5.517 4.907
O -6.315 8.174 11.368
O -4.506 6.814 9.908
O -0.783 6.876 3.447
O -2.945 6.756 7.242
O 0.778 6.935 0.781
O -2.407 0.896 6.557
O 1.316 3.668 0.095
O -1.113 0.885 4.392
O -4.836 3.679 10.854
O 1.411 0.909 0.073
O -2.312 3.655 6.535
O -4.731 0.938 10.830
O -1.008 3.625 4.368
O 0.769 2.135 2.571
O -2.954 2.428 9.032
O -4.217 5.256 12.730
O -0.494 8.434 6.269
O -0.358 5.225 6.175
O -4.080 8.466 12.637
O 1.646 0.105 3.917
O -2.077 4.459 10.378
O 3.114 1.086 2.331
O -0.609 3.478 8.793
O -1.232 2.064 10.822
O 2.491 2.499 4.361
O 1.216 2.061 6.977
O 4.938 2.502 0.516
O -1.373 6.625 12.407
O 2.350 7.066 5.945
O 1.075 6.628 8.562
O 4.798 7.063 2.100
O 4.175 5.649 4.130
O 0.452 8.041 10.591
O 5.643 4.668 2.544
O 1.920 9.022 9.006
O 7.646 0.661 0.286
O 3.923 3.902 6.747
O 4.060 0.693 6.654
O 7.783 3.871 0.193
O 6.519 6.699 3.891
O 2.796 6.992 10.352
O 4.573 5.502 8.554
O 8.296 8.189 2.093
O 5.877 5.472 6.388
O 2.154 8.218 12.849
O 8.401 5.448 2.069
O 4.678 8.242 8.530
O 2.250 5.459 12.827
O 5.973 8.231 6.366
O 2.788 2.192 12.141
O 6.511 2.371 5.680
O 4.349 2.251 9.476
O 8.072 2.313 3.015
O 9.881 0.953 1.554
O 6.158 3.610 8.016
O 6.242 1.010 8.003
O 9.964 3.553 1.542
```

The space group is P2_1/c (14). The calculation puts the calculated volume at 14.76 A^3/atom. The value obtained for the electronic total energy is -6.4261 eV per atom. The energy of formation from the pure elements is -36.86 eV per formula unit.

Entry from Materials Project: a relaxed structure of CsMgFeS2O8 (GGA+U).

The structure in extended XYZ format:
```
13
Lattice="5.065 0.000 0.000 2.446 4.450 0.000 0.080 0.005 9.864" Properties=species:S:1:pos:R:3 pbc="T T T"
Cs 0.000 0.000 0.000
Mg 2.553 1.476 6.649
Fe 2.490 4.432 4.141
S 2.570 1.489 2.544
S 5.089 2.982 6.166
O 1.185 1.283 3.076
O 3.113 2.771 3.082
O 2.526 1.532 1.069
O 4.371 4.195 5.620
O 3.447 0.357 2.977
O 5.100 3.010 7.626
O 4.396 1.737 5.662
O 6.512 2.987 5.631
```

The space group is P1 (1). Its relative energy among the computed polymorphs is 75 kJ/mol of formula units. The calculation puts the calculated volume at 17.10 A^3/atom. The value obtained for the electronic total energy is -5.8019 eV per atom. The energy of formation from the pure elements is -24.36 eV per formula unit.

Entry from Materials Project: a relaxed structure of Co9Cu3O16 (GGA+U).

The structure in extended XYZ format:
```
28
Lattice="4.076 -4.141 0.000 4.076 4.141 0.000 0.000 0.000 8.205" Properties=species:S:1:pos:R:3 pbc="T T T"
Co 0.000 0.000 0.000
Co 1.017 1.031 3.094
Co 7.134 -1.031 3.094
Co 3.051 1.043 1.047
Co 1.017 -1.031 5.110
Co 3.051 -1.043 7.158
Co 5.100 1.043 7.158
Co 7.134 1.031 5.110
Co 5.100 -1.043 1.047
Cu 2.038 2.070 6.146
Cu 2.038 -2.070 2.059
Cu 4.076 0.000 4.102
O 0.913 0.899 4.998
O 2.991 3.009 1.155
O 2.947 1.179 2.986
O 0.913 -0.899 3.207
O 3.123 0.933 7.275
O 5.160 3.009 7.050
O 3.123 -0.933 0.930
O 5.204 1.179 5.219
O 2.947 -1.179 5.219
O 5.028 0.933 0.930
O 2.991 -3.009 7.050
O 5.028 -0.933 7.275
O 7.238 0.899 3.207
O 5.204 -1.179 2.986
O 5.160 -3.009 1.155
O 7.238 -0.899 4.998
```

The space group is C222 (21). Its relative energy among the computed polymorphs is 0 kJ/mol of formula units. The calculation puts the calculated volume at 9.89 A^3/atom. The value obtained for the electronic total energy is -5.8538 eV per atom. The energy of formation from the pure elements is -34.20 eV per formula unit.

Entry from Materials Project: a relaxed structure of FeOF (GGA+U).

The structure in extended XYZ format:
```
18
Lattice="4.800 0.000 0.000 0.000 3.048 0.000 -0.326 0.000 14.253" Properties=species:S:1:pos:R:3 pbc="T T T"
Fe 0.000 0.000 0.000
Fe -0.088 0.000 4.811
Fe 1.992 1.524 2.405
Fe 2.258 1.524 6.789
Fe 2.402 1.524 11.880
Fe 4.490 0.000 9.566
O 0.772 1.524 3.810
O 1.234 0.000 6.317
O 1.355 0.000 1.305
O 3.077 0.000 12.833
O 3.684 1.524 5.584
O 3.673 1.524 10.406
F 0.656 1.524 8.731
F 0.607 1.524 13.212
F 1.236 0.000 10.954
F 3.181 0.000 3.130
F 3.156 0.000 8.112
F 3.828 1.524 0.876
```

The space group is Pm (6). The calculation puts the calculated volume at 11.59 A^3/atom. The value obtained for the electronic total energy is -5.9880 eV per atom. The energy of formation from the pure elements is -6.04 eV per formula unit.

Entry from Materials Project: a relaxed structure of CaVO3 (GGA+U).

The structure in extended XYZ format:
```
20
Lattice="7.683 0.000 0.000 0.000 5.381 0.000 -0.043 0.000 5.437" Properties=species:S:1:pos:R:3 pbc="T T T"
Ca 1.871 0.032 2.500
Ca 1.850 2.658 5.218
Ca 5.790 2.723 0.219
Ca 5.768 5.349 2.938
V 0.000 0.000 0.000
V -0.022 2.691 2.719
V 3.841 0.000 0.000
V 3.820 2.691 2.719
O 0.256 1.120 3.836
O 0.278 1.571 1.118
O 1.907 3.094 2.806
O 1.929 4.978 0.087
O 3.524 1.081 3.911
O 3.546 1.610 1.193
O 4.093 3.772 4.245
O 4.115 4.300 1.526
O 5.711 0.403 5.350
O 5.732 2.287 2.631
O 7.362 3.811 4.320
O 7.383 4.262 1.601
```

The space group is P2_1/c (14). The calculation puts the calculated volume at 11.24 A^3/atom. The value obtained for the electronic total energy is -7.3632 eV per atom. The energy of formation from the pure elements is -14.64 eV per formula unit.

Entry from Materials Project: a relaxed structure of Ba6Mn4Si12Cl3O34 (GGA+U).

The structure in extended XYZ format:
```
59
Lattice="9.792 0.000 0.000 0.000 6.996 0.000 -0.032 0.000 13.370" Properties=species:S:1:pos:R:3 pbc="T T T"
Ba 0.000 0.000 0.000
Ba 0.284 0.000 6.468
Ba 1.650 3.498 10.237
Ba 4.964 0.000 10.861
Ba 5.485 0.000 4.261
Ba 8.574 3.498 3.545
Mn 1.494 3.498 5.997
Mn 4.949 3.498 3.022
Mn 5.292 3.498 9.685
Mn 8.751 3.498 12.656
Si 1.920 3.498 1.010
Si 2.187 1.628 3.390
Si 2.187 5.368 3.390
Si 3.564 1.621 7.581
Si 3.564 5.375 7.581
Si 4.631 3.498 12.911
Si 5.592 3.498 6.238
Si 6.672 1.621 0.908
Si 6.672 5.375 0.908
Si 8.076 1.630 10.058
Si 8.076 5.366 10.058
Si 8.339 3.498 7.691
Cl 1.943 0.000 11.015
Cl 7.113 0.000 6.758
Cl 8.613 0.000 3.496
O 1.061 3.498 13.022
O 1.219 2.083 4.615
O 1.219 4.913 4.615
O 1.545 2.168 1.939
O 1.545 4.829 1.939
O 2.025 2.106 7.307
O 2.025 4.890 7.307
O 2.175 0.000 3.281
O 3.562 3.498 0.781
O 3.569 0.000 7.362
O 3.738 2.067 3.542
O 3.738 4.929 3.542
O 3.996 3.498 11.459
O 4.038 2.044 9.072
O 4.038 4.952 9.072
O 4.609 2.184 6.435
O 4.609 4.812 6.435
O 5.571 2.158 13.131
O 5.571 4.838 13.131
O 6.187 2.061 2.389
O 6.187 4.935 2.389
O 6.238 3.498 4.781
O 6.532 2.074 10.228
O 6.532 4.922 10.228
O 6.622 0.000 0.647
O 6.695 3.498 7.477
O 8.075 0.000 9.996
O 8.204 2.100 0.623
O 8.204 4.897 0.623
O 8.746 2.190 8.642
O 8.746 4.806 8.642
O 9.050 2.059 11.297
O 9.050 4.938 11.297
O 9.183 3.498 6.333
```

The space group is Pm (6). The calculation puts the calculated volume at 15.52 A^3/atom. The value obtained for the electronic total energy is -7.4132 eV per atom. The energy of formation from the pure elements is -180.37 eV per formula unit.

Entry from Materials Project: a relaxed structure of NiPO4F (GGA+U).

The structure in extended XYZ format:
```
14
Lattice="5.200 0.000 0.000 -0.669 5.246 0.000 -2.256 -2.399 6.398" Properties=species:S:1:pos:R:3 pbc="T T T"
Ni 0.000 0.000 0.000
Ni -1.128 -1.200 3.199
P 0.627 2.757 1.690
P 1.648 0.091 4.708
O -0.736 2.614 2.414
O 0.615 3.856 0.618
O 0.991 1.406 1.037
O 0.570 -0.153 3.636
O 1.705 3.000 2.762
O 1.283 1.441 5.361
O 1.660 -1.009 5.780
O 3.011 0.233 3.984
F -1.723 3.182 4.893
F 3.998 -0.335 1.505
```

The space group is P-1 (2). The calculation puts the calculated volume at 12.47 A^3/atom. The value obtained for the electronic total energy is -5.6638 eV per atom. The energy of formation from the pure elements is -12.50 eV per formula unit.

Entry from Materials Project: a relaxed structure of Fe3O2F2 (GGA+U).

The structure in extended XYZ format:
```
28
Lattice="6.399 0.000 0.000 0.000 6.445 0.000 -0.013 0.000 8.595" Properties=species:S:1:pos:R:3 pbc="T T T"
Fe 0.000 0.000 0.000
Fe -0.007 1.597 5.139
Fe 6.386 3.222 8.594
Fe -0.007 4.847 5.139
Fe 1.598 1.595 2.394
Fe 1.598 4.850 2.394
Fe 3.179 1.640 8.248
Fe 3.179 4.805 8.248
Fe 3.194 0.000 4.799
Fe 3.194 3.222 4.714
Fe 4.796 1.595 2.396
Fe 4.796 4.850 2.396
O 1.393 1.597 0.427
O 1.393 4.848 0.427
O 1.798 1.619 4.376
O 1.798 4.826 4.376
O 4.577 1.649 4.373
O 4.577 4.796 4.373
O 5.015 1.584 0.430
O 5.015 4.861 0.430
F -0.002 0.000 2.508
F -0.003 3.222 2.498
F 0.027 3.222 6.538
F 3.147 0.000 6.852
F 3.197 0.000 2.329
F 3.196 3.222 2.279
F 3.228 3.222 6.883
F 6.354 0.000 6.531
```

The space group is Pm (6). Its relative energy among the computed polymorphs is 31 kJ/mol of formula units. The calculation puts the calculated volume at 12.66 A^3/atom. The value obtained for the electronic total energy is -6.1627 eV per atom. The energy of formation from the pure elements is -13.07 eV per formula unit.

> Which of these has the highest electronic total energy?

NiPO4F

Repeat the fifth record exactly.
Entry from Materials Project: a relaxed structure of CsMgFeS2O8 (GGA+U).

The structure in extended XYZ format:
```
13
Lattice="5.065 0.000 0.000 2.446 4.450 0.000 0.080 0.005 9.864" Properties=species:S:1:pos:R:3 pbc="T T T"
Cs 0.000 0.000 0.000
Mg 2.553 1.476 6.649
Fe 2.490 4.432 4.141
S 2.570 1.489 2.544
S 5.089 2.982 6.166
O 1.185 1.283 3.076
O 3.113 2.771 3.082
O 2.526 1.532 1.069
O 4.371 4.195 5.620
O 3.447 0.357 2.977
O 5.100 3.010 7.626
O 4.396 1.737 5.662
O 6.512 2.987 5.631
```

The space group is P1 (1). Its relative energy among the computed polymorphs is 75 kJ/mol of formula units. The calculation puts the calculated volume at 17.10 A^3/atom. The value obtained for the electronic total energy is -5.8019 eV per atom. The energy of formation from the pure elements is -24.36 eV per formula unit.